The following is a DFT calculation (PBE with a Hubbard U) of a relaxed structure of Mg6CrBiO8.

Properties
* symmetry: No. 123
* VASP energy: -93.15 eV/cell
* crystal system: tetragonal
* energy relative to the elements: -37.9 eV per formula unit

abc: 8.9186 4.5507 4.5507
angles: 90.00 90.00 90.00
Fractional positions:
Mg 0.0000 0.5000 0.5000
Mg 0.5000 0.5000 0.5000
Mg 0.2327 0.0000 0.5000
Mg 0.7673 0.0000 0.5000
Mg 0.2327 0.5000 0.0000
Mg 0.7673 0.5000 0.0000
Cr 0.0000 0.0000 0.0000
Bi 0.5000 0.0000 0.0000
O 0.2285 0.0000 0.0000
O 0.7715 0.0000 0.0000
O 0.2482 0.5000 0.5000
O 0.7518 0.5000 0.5000
O 0.0000 0.0000 0.5000
O 0.5000 0.0000 0.5000
O 0.0000 0.5000 0.0000
O 0.5000 0.5000 0.0000